No. 1
This record from Materials Project describes a relaxed Li7Mn8B8O24 crystal. The functional is PBE with a Hubbard U.

The structure in extended XYZ format:
```
47
Lattice="5.2853 0.0000 0.0000 0.0788 9.1013 0.0000 0.3142 0.0717 10.4588" Properties=species:S:1:pos:R:3 pbc="T T T"
Li 0.0000 0.0000 0.0000
Li 5.4459 0.3286 5.3046
Li 1.2393 4.8214 7.9106
Li 1.1049 4.7455 2.6532
Li 2.6638 4.5157 0.1008
Li 2.8682 4.8625 5.1654
Li 3.8292 0.1960 7.9496
Mn 1.0398 7.8575 2.9775
Mn 1.2188 1.7314 8.2508
Mn 2.6753 1.4901 0.4620
Mn 2.9024 7.7940 5.5560
Mn 3.8642 6.2266 8.2321
Mn 3.7540 3.0231 3.0291
Mn 5.3098 6.1836 0.4197
Mn 5.4684 3.3568 5.6804
B 0.2850 6.3120 5.7161
B 0.1113 3.0828 0.5391
B 0.9982 1.8427 3.1340
B 1.2375 7.7574 8.2865
B 2.7270 7.6319 0.4023
B 2.8644 1.7229 5.6610
B 3.8254 3.1890 8.3574
B 3.6912 6.2013 3.0693
O 0.5111 8.9218 8.4233
O 0.3426 0.6936 3.3679
O 0.4111 3.0994 3.4611
O 0.6425 6.5313 8.6400
O 0.7840 7.5397 5.3191
O 0.6337 1.9039 0.0264
O 0.8359 4.2433 0.6323
O 1.1171 5.2071 5.8702
O 1.3781 7.7651 0.7788
O 1.5265 1.7672 6.0407
O 2.2572 1.8853 2.5494
O 2.5549 7.7922 7.8406
O 3.0513 4.3183 8.5201
O 3.0152 4.9860 3.1596
O 3.0413 7.3572 3.4575
O 3.3020 1.9444 8.7140
O 3.2328 6.3718 0.0554
O 3.4393 2.8863 5.0653
O 3.5345 8.7293 0.3482
O 3.6327 0.6182 5.8934
O 4.2050 6.1524 6.0086
O 4.0506 3.0664 1.0009
O 5.1279 3.2945 7.8593
O 5.0238 6.2262 2.6355
```



No. 2
This record from Materials Project describes a relaxed BaYCuWO5 crystal. The functional is PBE with a Hubbard U.

The structure in extended XYZ format:
```
9
Lattice="4.0368 0.0000 0.0000 0.0000 4.0368 0.0000 0.0000 0.0000 8.0027" Properties=species:S:1:pos:R:3 pbc="T T T"
Ba 0.0000 0.0000 0.0000
Y 0.0000 0.0000 3.4926
Cu 2.0184 2.0184 2.3341
W 2.0184 2.0184 5.4441
O 0.0000 2.0184 2.2939
O 0.0000 2.0184 5.1831
O 2.0184 0.0000 2.2939
O 2.0184 0.0000 5.1831
O 2.0184 2.0184 7.4968
```



No. 3
This record from Materials Project describes a relaxed SmCuW2O8 crystal. The functional is PBE with a Hubbard U.

The structure in extended XYZ format:
```
24
Lattice="7.2769 0.0000 0.0000 -0.2473 7.4515 0.0000 -3.2574 -3.2296 6.0102" Properties=species:S:1:pos:R:3 pbc="T T T"
Sm -0.2396 0.6365 2.7649
Sm 4.0117 3.5854 3.2453
Cu -1.6641 1.9134 5.7560
Cu 5.4363 2.3085 0.2542
W 1.7842 2.0874 0.2269
W 0.0366 4.3983 4.2432
W 3.7356 -0.1764 1.7669
W 1.9880 2.1345 5.7832
O -0.0148 1.9761 0.6206
O -1.8239 4.7928 4.8104
O -0.6749 2.9786 3.2966
O -1.3029 0.0773 4.8551
O 0.1851 5.7550 3.0846
O 1.9207 0.4264 1.5796
O 2.3997 3.1283 1.6041
O 3.2562 6.1377 0.0330
O 0.5160 -1.9158 5.9771
O 1.3724 1.0936 4.4061
O 1.8515 3.7955 4.4306
O 3.5871 -1.5331 2.9256
O 5.0751 4.1446 1.1551
O 4.4471 1.2433 2.7135
O 5.5960 -0.5708 1.1997
O 3.7870 2.2458 5.3896
```



No. 4
This record from Materials Project describes a relaxed Li9Mn2Co5O16 crystal. The functional is PBE with a Hubbard U.

Values from the calculation:
As for the distance to the lowest polymorph of the same formula: 5.0 kJ/mol of atoms.

The structure in extended XYZ format:
```
32
Lattice="2.9833 0.0000 0.0000 -1.3021 4.9378 0.0000 -1.1057 -0.8587 19.6371" Properties=species:S:1:pos:R:3 pbc="T T T"
Li 0.0000 0.0000 0.0000
Li -1.1348 0.7405 16.0069
Li -1.1829 4.1664 8.6482
Li 0.0234 2.5962 1.1154
Li 0.2612 0.2666 13.5452
Li 0.2373 3.6575 6.1587
Li 0.4139 1.2192 18.4443
Li 1.6921 -0.2666 11.1006
Li 1.6920 3.2030 3.7389
Mn 1.5341 0.4394 2.3845
Mn 1.6664 1.4584 7.4062
Co -1.1641 2.4722 12.3308
Co 0.0845 0.8904 4.9405
Co -1.0110 3.4986 17.2946
Co 0.2543 1.9646 9.9022
Co 0.4141 2.9597 14.7858
O -1.0602 -0.2162 17.7486
O -1.1319 1.7007 14.0792
O -1.1946 3.2187 10.5527
O -0.0121 0.1419 6.7179
O 0.0553 1.6090 3.0846
O -1.0186 2.6746 18.8269
O -1.0421 4.2141 15.4725
O 0.1520 1.2043 11.6708
O 0.3563 2.7501 8.0818
O 0.2334 4.6035 4.2604
O 1.5287 1.2853 0.7641
O 0.3079 2.2225 16.5339
O 0.4919 3.7251 12.9783
O 1.6937 0.6877 9.2051
O 1.6130 2.1918 5.5679
O 1.7206 4.2015 1.9338
```



No. 5
This record from Materials Project describes a relaxed RbNdMo2O8 crystal. The functional is PBE with a Hubbard U.

The structure in extended XYZ format:
```
48
Lattice="5.2655 0.0000 0.0000 0.0000 18.9936 0.0000 0.0000 0.0000 8.4352" Properties=species:S:1:pos:R:3 pbc="T T T"
Rb 0.0000 4.3930 2.1088
Rb 0.0000 14.6006 6.3264
Rb 2.6327 5.1038 6.3264
Rb 2.6327 13.8898 2.1088
Nd 0.0000 0.1375 6.3264
Nd 0.0000 18.8561 2.1088
Nd 2.6327 9.3593 2.1088
Nd 2.6327 9.6343 6.3264
Mo 0.1256 7.5780 4.3768
Mo 0.1256 11.4156 0.1591
Mo 2.5071 1.9188 0.1591
Mo 2.5071 17.0748 4.3768
Mo 2.7583 1.9188 4.0585
Mo 2.7583 17.0748 8.2761
Mo 5.1399 7.5780 8.2761
Mo 5.1399 11.4156 4.0585
O 0.5163 5.9449 8.2112
O 0.5163 13.0488 3.9936
O 1.1985 7.5972 2.9357
O 1.1985 11.3965 7.1533
O 1.2451 7.7629 5.8012
O 1.2451 11.2308 1.5836
O 1.2807 8.7869 0.0365
O 1.2807 10.2067 4.2542
O 1.3521 0.7099 4.2542
O 1.3521 18.2838 0.0365
O 1.3877 1.7339 1.5836
O 1.3877 17.2597 5.8012
O 1.4342 1.8996 7.1533
O 1.4342 17.0940 2.9357
O 2.1164 3.5519 3.9936
O 2.1164 15.4417 8.2112
O 3.1491 3.5519 0.2241
O 3.1491 15.4417 4.4417
O 3.8313 1.8996 5.4995
O 3.8313 17.0940 1.2819
O 3.8778 1.7339 2.6340
O 3.8778 17.2597 6.8516
O 3.9134 0.7099 8.3987
O 3.9134 18.2838 4.1811
O 3.9848 8.7869 4.1811
O 3.9848 10.2067 8.3987
O 4.0204 7.7629 6.8516
O 4.0204 11.2308 2.6340
O 4.0670 7.5972 1.2819
O 4.0670 11.3965 5.4995
O 4.7492 5.9449 4.4417
O 4.7492 13.0488 0.2241
```



No. 6
This record from Materials Project describes a relaxed Li5Co3Sb2O10 crystal. The functional is PBE with a Hubbard U.

Values from the calculation:
As for the distance to the lowest polymorph of the same formula: 0.2 kJ/mol of atoms.

The structure in extended XYZ format:
```
40
Lattice="6.8256 0.0000 0.0000 0.0945 8.0576 0.0000 0.0586 3.6312 7.3270" Properties=species:S:1:pos:R:3 pbc="T T T"
Li 0.0000 0.0000 0.0000
Li 0.6220 2.9026 4.2950
Li 1.4795 8.2442 5.0675
Li 2.2584 5.5274 5.8502
Li 2.8377 4.8163 2.8009
Li 3.4592 4.0307 0.0132
Li 4.0833 6.9464 4.2985
Li 4.8363 4.2254 5.0763
Li 5.6986 9.5469 5.8344
Li 6.2811 8.8355 2.8004
Co 0.7812 5.1721 0.6561
Co 1.4219 2.4235 1.3935
Co 2.1230 7.6731 2.1565
Co 4.1724 1.1177 0.6485
Co 4.8740 6.5206 1.3916
Co 5.5168 3.6246 2.1707
Sb 0.1229 5.9110 3.5987
Sb 2.8204 10.5806 6.5349
Sb 3.4937 1.8883 3.5918
Sb 6.1867 6.5500 6.5442
O 0.1300 6.9977 1.8999
O 0.6641 4.2485 2.6145
O 0.9191 10.0437 6.2248
O 1.2867 7.0739 6.8667
O 1.6661 9.4259 3.2511
O 2.0260 6.4448 3.9063
O 2.1308 0.5423 0.2095
O 2.7794 5.8754 0.9124
O 2.8415 3.4970 4.7204
O 3.4872 8.9729 5.4079
O 3.4897 2.9927 1.9103
O 4.1246 8.2862 2.6030
O 4.2882 6.0186 6.2272
O 4.7546 11.0888 6.8459
O 5.0206 5.4018 3.2318
O 5.4082 2.3991 3.8850
O 5.5679 4.5576 0.2389
O 6.1760 1.8352 0.9182
O 6.2877 7.5196 4.7222
O 6.8367 4.9379 5.4088
```



No. 7
This record from Materials Project describes a relaxed Li2Co3OF6 crystal. The functional is PBE with a Hubbard U.

The structure in extended XYZ format:
```
48
Lattice="5.0499 0.0000 0.0000 -0.4683 10.3892 0.0000 -2.4283 -5.1328 10.4094" Properties=species:S:1:pos:R:3 pbc="T T T"
Li 0.0000 0.0000 0.0000
Li -0.9894 8.7645 2.9629
Li -0.1597 0.0902 5.9539
Li -0.5395 1.9190 8.1982
Li -0.8541 0.1634 10.3840
Li 2.1437 3.3988 2.9127
Li 1.6117 5.2478 5.9837
Li 2.2350 -3.2858 8.2538
Co -0.4813 4.4757 1.4788
Co -0.4873 1.6545 2.9994
Co -0.5654 4.3318 4.4768
Co -0.7269 7.2503 5.9475
Co -0.5387 4.6078 8.4385
Co -0.2598 -2.9526 10.1826
Co 2.3708 -0.6502 1.4746
Co 1.7188 6.7277 2.8651
Co 2.4009 -0.5888 4.4616
Co 2.0868 2.0144 6.0464
Co 2.2595 -0.5717 7.6605
Co 4.4879 7.1347 0.1117
O 0.3029 3.4417 2.9709
O 0.5877 6.1525 1.4032
O 3.5158 0.0320 2.8857
O 3.0421 0.3183 6.0823
F -1.6461 5.4790 5.8180
F -1.6050 -2.2691 7.2520
F -1.6381 3.2639 7.4457
F -1.8946 0.8599 8.9643
F -1.4357 -4.3200 9.0039
F -1.6172 -1.5442 10.3399
F 0.5913 8.8709 0.0897
F 1.0117 0.9314 1.3043
F 0.7970 0.9111 4.4940
F 0.8578 8.6639 3.0193
F 0.6265 6.1611 4.5941
F 0.8862 -1.5104 5.8475
F 0.8216 3.5911 5.9015
F 0.5200 6.0193 7.3310
F 0.7708 0.9409 7.3559
F 0.6569 3.1398 9.1270
F 1.0388 -1.9720 8.7984
F 0.8697 -4.6934 10.1336
F 3.3724 5.4370 0.0578
F 3.2019 2.8118 1.4190
F 3.0964 7.9785 1.5143
F 3.0349 5.1516 3.0309
F 3.1367 2.7387 4.4250
F 3.0939 7.9069 4.3486
```



No. 8
This record from Materials Project describes a relaxed KCoH3C3O6 crystal. The functional is PBE with a Hubbard U.

Values from the calculation:
As for the distance to the lowest polymorph of the same formula: 6.4 kJ/mol of atoms.

The structure in extended XYZ format:
```
28
Lattice="5.3983 -4.5494 0.0000 5.3983 4.5494 0.0000 -0.4615 0.0000 6.8223" Properties=species:S:1:pos:R:3 pbc="T T T"
K 5.0522 3.6417 5.1168
K 5.2829 -3.6417 1.7056
Co 2.6991 2.2747 0.0000
Co 2.4684 -2.2747 3.4112
H 3.8482 0.5090 3.4622
H 5.2829 1.1228 1.7056
H 4.0789 -0.5090 0.0510
H 6.2562 0.5090 6.7714
H 5.0522 -1.1228 5.1168
H 6.4869 -0.5090 3.3602
C 5.2829 2.2316 1.7056
C 3.1721 0.5322 4.3432
C 3.4029 -0.5322 0.9320
C 6.9322 0.5322 5.8903
C 7.1630 -0.5322 2.4792
C 5.0522 -2.2316 5.1168
O 4.5799 2.8290 0.8331
O 3.2773 1.5373 5.1055
O 2.6090 0.4510 1.0838
O 5.9860 2.8290 2.5780
O 2.3782 -0.4510 4.4950
O 6.8270 1.5373 5.1280
O 3.5081 -1.5373 1.6944
O 7.9569 0.4510 2.3274
O 4.3491 -2.8290 4.2443
O 7.7261 -0.4510 5.7385
O 7.0577 -1.5373 1.7168
O 5.7552 -2.8290 5.9892
```



No. 9
This record from Materials Project describes a relaxed Sr10Cu5MoW4O30 crystal. The functional is PBE with a Hubbard U.

The structure in extended XYZ format:
```
50
Lattice="-2.7566 2.7566 21.2553 2.7566 -2.7566 21.2553 2.7566 2.7566 -21.2553" Properties=species:S:1:pos:R:3 pbc="T T T"
Sr 2.7566 0.0000 2.1148
Sr 2.7566 0.0000 6.3757
Sr 2.7566 0.0000 10.6276
Sr 2.7566 0.0000 14.8796
Sr 2.7566 0.0000 19.1405
Sr 0.0000 2.7566 2.1148
Sr 0.0000 2.7566 6.3757
Sr 0.0000 2.7566 10.6276
Sr 0.0000 2.7566 14.8796
Sr 0.0000 2.7566 19.1405
Cu 0.0000 0.0000 0.0000
Cu 0.0000 0.0000 8.5021
Cu 0.0000 0.0000 17.0090
Cu 0.0000 0.0000 25.5016
Cu 0.0000 0.0000 34.0085
Mo 0.0000 0.0000 21.2553
W 0.0000 0.0000 4.2513
W 0.0000 0.0000 12.7530
W 0.0000 0.0000 29.7575
W 0.0000 0.0000 38.2593
O 3.8709 1.1532 -8.5020
O 0.0000 0.0000 2.2951
O 1.1532 1.6422 -8.5019
O 1.6032 1.1139 -4.2508
O 0.0000 0.0000 6.2039
O 1.6427 -1.1534 17.0045
O 3.8711 1.1560 0.0000
O 0.0000 0.0000 10.7994
O 1.1560 1.6420 0.0000
O 1.6032 1.1139 4.2508
O 0.0000 0.0000 14.7083
O 1.6427 -1.1534 25.5061
O 3.8709 1.1532 8.5019
O 0.0000 0.0000 19.3041
O 1.1532 1.6422 8.5020
O 1.6033 1.1143 12.7533
O 0.0000 0.0000 23.2065
O -1.1143 1.6033 12.7533
O 1.1139 3.9099 -4.2508
O 0.0000 0.0000 27.8023
O 1.1534 1.6427 17.0045
O 1.6006 1.1145 21.2553
O 0.0000 0.0000 31.7112
O -1.1145 1.6006 21.2553
O 1.1139 3.9099 4.2508
O 0.0000 0.0000 36.3067
O 1.1534 1.6427 25.5061
O 1.6033 1.1143 29.7572
O 0.0000 0.0000 40.2155
O -1.1143 1.6033 29.7573
```



Energy of formation values, unit eV/f.u., following the record order: -116.74; -21.13; -28.39; -57.99; -30.39; -36.97; -28.00; -18.24; -122.52.